No. 1
# Cs3HSe2O8

A relaxed structure of Cs3HSe2O8 (PBE, Materials Project).

Unit cell a=11.089 b=6.512 c=8.681 alpha=90.00 beta=111.82 gamma=90.00
Space group C2/m (No. 12)
Asymmetric unit:
1 Cs 0.000 0.000 0.000 (multiplicity 2)
2 Cs 0.198 0.000 0.610 (multiplicity 4)
3 H 0.000 0.500 0.000 (multiplicity 2)
4 Se 0.071 0.500 0.766 (multiplicity 4)
5 O 0.015 0.288 0.309 (multiplicity 8)
6 O 0.103 0.500 0.978 (multiplicity 4)
7 O 0.213 0.500 0.742 (multiplicity 4)

Summary:
* ΔE_f: -1664 meV/atom



No. 2
# LuCoC

A relaxed structure of LuCoC (PBE, Materials Project).

Unit cell a=3.451 b=3.464 c=3.611 alpha=90.00 beta=90.00 gamma=90.00
Space group Pmmm (No. 47)
Asymmetric unit:
1 Lu 0.000 0.000 0.000 (multiplicity 1)
2 Co 0.500 0.500 0.500 (multiplicity 1)
3 C 0.500 0.500 0.000 (multiplicity 1)

Summary:
* ΔE_f: -309 meV/atom



No. 3
# ZnSb2O4

A relaxed structure of ZnSb2O4 (PBE, Materials Project).

Unit cell a=5.980 b=6.045 c=21.159 alpha=92.49 beta=94.67 gamma=112.58
Space group P1 (No. 1)
Asymmetric unit:
1 Zn 0.000 0.000 0.000 (multiplicity 1)
2 Zn 0.034 0.012 0.662 (multiplicity 1)
3 Zn 0.087 0.049 0.216 (multiplicity 1)
4 Zn 0.372 0.717 0.347 (multiplicity 1)
5 Zn 0.454 0.711 0.569 (multiplicity 1)
6 Zn 0.757 0.318 0.934 (multiplicity 1)
7 Sb 0.045 0.487 0.089 (multiplicity 1)
8 Sb 0.159 0.338 0.809 (multiplicity 1)
9 Sb 0.381 0.178 0.466 (multiplicity 1)
10 Sb 0.412 0.853 0.726 (multiplicity 1)
11 Sb 0.425 0.706 0.956 (multiplicity 1)
12 Sb 0.500 0.626 0.202 (multiplicity 1)
13 Sb 0.550 0.051 0.088 (multiplicity 1)
14 Sb 0.694 0.314 0.322 (multiplicity 1)
15 Sb 0.701 0.430 0.692 (multiplicity 1)
16 Sb 0.808 0.754 0.845 (multiplicity 1)
17 Sb 0.885 0.240 0.539 (multiplicity 1)
18 Sb 0.919 0.684 0.449 (multiplicity 1)
19 O 0.026 0.029 0.432 (multiplicity 1)
20 O 0.048 0.545 0.381 (multiplicity 1)
21 O 0.048 0.750 0.720 (multiplicity 1)
22 O 0.099 0.062 0.865 (multiplicity 1)
23 O 0.164 0.354 0.018 (multiplicity 1)
24 O 0.241 0.359 0.552 (multiplicity 1)
25 O 0.272 0.900 0.011 (multiplicity 1)
26 O 0.308 0.848 0.499 (multiplicity 1)
27 O 0.381 0.804 0.259 (multiplicity 1)
28 O 0.387 0.314 0.246 (multiplicity 1)
29 O 0.397 0.075 0.660 (multiplicity 1)
30 O 0.487 0.643 0.663 (multiplicity 1)
31 O 0.501 0.072 0.382 (multiplicity 1)
32 O 0.616 0.569 0.371 (multiplicity 1)
33 O 0.627 0.986 0.906 (multiplicity 1)
34 O 0.674 0.845 0.035 (multiplicity 1)
35 O 0.709 0.332 0.037 (multiplicity 1)
36 O 0.773 0.648 0.935 (multiplicity 1)
37 O 0.818 0.940 0.583 (multiplicity 1)
38 O 0.826 0.439 0.610 (multiplicity 1)
39 O 0.848 0.752 0.231 (multiplicity 1)
40 O 0.935 0.187 0.136 (multiplicity 1)
41 O 0.938 0.191 0.731 (multiplicity 1)
42 O 0.944 0.470 0.850 (multiplicity 1)

Summary:
* ΔE_f: -1621 meV/atom



Which formula does entry 1 have? Cs3HSe2O8